Record 1
The following is a GGA+U calculation of crystalline VHO3 at its relaxed geometry, from the Materials Project database.

Unit cell a=5.190 b=8.185 c=8.628 alpha=89.65 beta=87.95 gamma=82.23
Element x y z (fractional)
V (0.000, 0.000, 0.000)
V (0.005, 0.004, 0.610)
V (0.108, 0.361, 0.490)
V (0.142, 0.351, 0.106)
V (0.472, 0.117, 0.790)
V (0.639, 0.241, 0.304)
H (0.405, 0.646, 0.763)
H (0.556, 0.844, 0.288)
H (0.576, 0.462, 0.804)
H (0.653, 0.652, 0.273)
H (0.719, 0.595, 0.708)
H (0.925, 0.798, 0.195)
O (0.041, 0.492, 0.981)
O (0.084, 0.841, 0.128)
O (0.141, 0.861, 0.495)
O (0.144, 0.933, 0.805)
O (0.230, 0.178, 0.640)
O (0.247, 0.163, 0.965)
O (0.438, 0.387, 0.448)
O (0.464, 0.380, 0.152)
O (0.474, 0.086, 0.305)
O (0.576, 0.590, 0.792)
O (0.624, 0.282, 0.788)
O (0.677, 0.966, 0.665)
O (0.688, 0.988, 0.954)
O (0.709, 0.760, 0.286)
O (0.887, 0.185, 0.465)
O (0.903, 0.182, 0.146)
O (0.977, 0.507, 0.611)
O (0.989, 0.429, 0.299)

Summary:
SG   No. 1
Energy of formation   -187 kJ per mole of atoms


Record 2
The following is a GGA+U calculation of crystalline RbNdMo2O8 at its relaxed geometry, from the Materials Project database.

Unit cell a=7.678 b=7.678 c=7.905 alpha=118.11 beta=118.11 gamma=88.86
Element x y z (fractional)
Rb (0.199, 0.801, 0.750)
Rb (0.801, 0.199, 0.250)
Nd (0.230, 0.770, 0.250)
Nd (0.770, 0.230, 0.750)
Mo (0.305, 0.307, 0.762)
Mo (0.307, 0.305, 0.262)
Mo (0.693, 0.695, 0.738)
Mo (0.695, 0.693, 0.238)
O (0.054, 0.207, 0.691)
O (0.074, 0.385, 0.132)
O (0.207, 0.054, 0.191)
O (0.236, 0.384, 0.564)
O (0.369, 0.581, 0.025)
O (0.384, 0.236, 0.064)
O (0.385, 0.074, 0.632)
O (0.419, 0.631, 0.475)
O (0.581, 0.369, 0.525)
O (0.615, 0.926, 0.368)
O (0.616, 0.764, 0.936)
O (0.631, 0.419, 0.975)
O (0.764, 0.616, 0.436)
O (0.793, 0.946, 0.809)
O (0.926, 0.615, 0.868)
O (0.946, 0.793, 0.309)

Summary:
SG   No. 15
Energy of formation   -242 kJ per mole of atoms